No. 1
## MnFeP2O8 (GGA+U)

Data for crystalline MnFeP2O8 at its relaxed geometry.

Properties
Energy above the most stable polymorph in this dataset = 0.0258 eV per atom
Total moment = 9.01 μB per formula unit
Crystal system = trigonal
ΔH_f (0 K) = -2.352 eV per atom

abc: 8.5935 8.5935 8.5935
angles: 60.27 60.27 60.27
Atoms (fractional coordinates):
O 0.0601 0.9185 0.2579
O 0.7341 0.9431 0.0885
O 0.2434 0.5924 0.4356
O 0.7603 0.4124 0.5540
Mn 0.9979 0.9979 0.9979
O 0.0885 0.7341 0.9431
O 0.6936 0.4891 0.8883
O 0.3790 0.9955 0.1894
O 0.5005 0.1110 0.3184
Mn 0.5000 0.5000 0.5000
O 0.2579 0.0601 0.9185
O 0.8147 0.6124 0.0079
O 0.8883 0.6936 0.4891
O 0.5540 0.7603 0.4124
O 0.4124 0.5540 0.7603
P 0.7527 0.4557 0.0466
O 0.1110 0.3184 0.5005
O 0.9955 0.1894 0.3790
O 0.3184 0.5005 0.1110
O 0.5924 0.4356 0.2434
O 0.9431 0.0885 0.7341
P 0.5391 0.9573 0.2511
P 0.2511 0.5391 0.9573
O 0.4356 0.2434 0.5924
O 0.1894 0.3790 0.9955
O 0.6124 0.0079 0.8147
O 0.0079 0.8147 0.6124
O 0.9185 0.2579 0.0601
Fe 0.3550 0.3550 0.3550
P 0.0466 0.7527 0.4557
P 0.9573 0.2511 0.5391
P 0.4557 0.0466 0.7527
Fe 0.8549 0.8549 0.8549
Mn 0.1436 0.1436 0.1436
O 0.4891 0.8883 0.6936
Fe 0.6461 0.6461 0.6461

=====

No. 2
## Mn3FeP4O16 (GGA+U)

Data for crystalline Mn3FeP4O16 at its relaxed geometry.

Properties
Total moment = 17.00 μB per formula unit
Crystal system = monoclinic
ΔH_f (0 K) = -2.406 eV per atom

abc: 6.0126 4.9207 9.8537
angles: 89.73 90.00 90.00
Atoms (fractional coordinates):
O 0.0000 0.2234 0.3786
O 0.5000 0.3591 0.9456
O 0.5000 0.7737 0.6191
O 0.7994 0.7709 0.3280
O 0.1980 0.7369 0.8292
P 0.0000 0.9127 0.3997
O 0.2972 0.2247 0.6710
O 0.8020 0.7369 0.8292
O 0.0000 0.8526 0.5522
P 0.0000 0.5870 0.9032
O 0.2006 0.7709 0.3280
O 0.2995 0.2726 0.1696
Mn 0.5000 0.9290 0.2853
O 0.5000 0.1451 0.4462
Mn 0.5000 0.5668 0.7823
O 0.0000 0.2815 0.8805
O 0.7028 0.2247 0.6710
P 0.5000 0.0863 0.5998
O 0.5000 0.7270 0.1198
Mn 0.0000 0.4311 0.2149
P 0.5000 0.4170 0.0994
O 0.7005 0.2726 0.1696
Fe 0.0000 0.0435 0.7230
O 0.0000 0.6540 0.0550

=====

No. 3
## MnFe2P2O16 (GGA+U)

Data for crystalline MnFe2P2O16 at its relaxed geometry.

Properties
Energy above the most stable polymorph in this dataset = 0.0000 eV per atom
Total moment = 11.00 μB per formula unit
Crystal system = triclinic
ΔH_f (0 K) = -1.150 eV per atom

abc: 7.9096 10.2056 10.2385
angles: 118.98 89.78 91.24
Atoms (fractional coordinates):
O 0.5133 0.6599 0.4117
Fe 0.1696 0.2977 0.9860
O 0.2418 0.0968 0.9069
P 0.8932 0.3466 0.7976
O 0.5249 0.4079 0.1350
O 0.5458 0.0371 0.8181
O 0.4542 0.9629 0.1819
Mn 0.1709 0.9261 0.5384
Fe 0.6495 0.2108 0.9828
O 0.8529 0.2600 0.6282
P 0.3683 0.9709 0.8167
O 0.6928 0.1244 0.3497
Mn 0.8291 0.0739 0.4616
O 0.7310 0.9435 0.4780
Fe 0.8304 0.7023 0.0140
O 0.3739 0.8598 0.8768
O 0.5633 0.6600 0.9942
O 0.5767 0.4297 0.5713
O 0.7582 0.9032 0.0931
O 0.9209 0.6788 0.1717
P 0.1068 0.6534 0.2024
O 0.0507 0.7777 0.9400
O 0.9883 0.2015 0.1693
O 0.2265 0.7014 0.1142
O 0.8687 0.5131 0.8440
O 0.1313 0.4869 0.1560
P 0.6317 0.0291 0.1833
O 0.3072 0.8756 0.6503
O 0.4867 0.3401 0.5883
O 0.6261 0.1402 0.1232
O 0.4233 0.5703 0.4287
O 0.0117 0.7985 0.8307
O 0.4751 0.5921 0.8650
O 0.4367 0.3400 0.0058
O 0.9976 0.9804 0.6352
Fe 0.3505 0.7892 0.0172
O 0.0791 0.3212 0.8283
O 0.7735 0.2986 0.8858
O 0.1471 0.7400 0.3718
O 0.9493 0.2223 0.0600
O 0.2690 0.0565 0.5220
O 0.0024 0.0196 0.3648

=====

No. 4
## MnFeP2O8 (GGA+U)

Data for crystalline MnFeP2O8 at its relaxed geometry.

Properties
Energy above the most stable polymorph in this dataset = 0.0000 eV per atom
Total moment = 0.00 μB per formula unit
Crystal system = orthorhombic
ΔH_f (0 K) = -2.378 eV per atom

abc: 4.8893 9.9218 5.9741
angles: 90.00 90.00 90.00
Atoms (fractional coordinates):
O 0.2395 0.6722 0.4496
O 0.2395 0.6722 0.0504
O 0.2605 0.1722 0.4496
O 0.7262 0.8296 0.9537
Fe 0.9577 0.2781 0.2500
O 0.7262 0.8296 0.5463
O 0.8591 0.5533 0.7500
O 0.7825 0.6220 0.2500
P 0.5853 0.9002 0.7500
P 0.4102 0.0978 0.2500
O 0.7738 0.3296 0.5463
O 0.3432 0.9478 0.2500
O 0.2605 0.1722 0.0504
P 0.0897 0.5978 0.2500
O 0.2708 0.8797 0.7500
O 0.6409 0.0533 0.7500
P 0.9148 0.4002 0.7500
Mn 0.0672 0.7170 0.7500
O 0.1567 0.4478 0.2500
Fe 0.5423 0.7782 0.2500
O 0.7175 0.1220 0.2500
O 0.7738 0.3296 0.9537
Mn 0.4327 0.2169 0.7500
O 0.2292 0.3797 0.7500

=====

No. 5
## MnFeP2O8 (GGA+U)

Data for crystalline MnFeP2O8 at its relaxed geometry.

Properties
Energy above the most stable polymorph in this dataset = 0.0014 eV per atom
Total moment = 1.00 μB per formula unit
Crystal system = monoclinic
ΔH_f (0 K) = -2.376 eV per atom

abc: 5.9745 4.9080 9.8720
angles: 89.29 90.00 90.00
Atoms (fractional coordinates):
P 0.7500 0.9118 0.4005
O 0.2500 0.7742 0.6189
O 0.7500 0.2258 0.3811
O 0.9489 0.7338 0.8303
O 0.0462 0.2246 0.6720
Mn 0.7500 0.4369 0.2191
O 0.2500 0.1495 0.4472
P 0.7500 0.5826 0.9044
P 0.2500 0.4174 0.0956
O 0.4489 0.2662 0.1697
P 0.2500 0.0882 0.5995
O 0.2500 0.7234 0.1172
O 0.5462 0.7754 0.3280
O 0.7500 0.6505 0.0559
O 0.9538 0.7754 0.3280
Fe 0.7500 0.0414 0.7238
O 0.0511 0.2662 0.1697
O 0.2500 0.3495 0.9441
O 0.4538 0.2246 0.6720
Fe 0.2500 0.9586 0.2762
O 0.7500 0.8505 0.5528
Mn 0.2500 0.5631 0.7809
O 0.7500 0.2766 0.8828
O 0.5511 0.7338 0.8303

=====

No. 6
## MnFe2P2O16 (GGA+U)

Data for crystalline MnFe2P2O16 at its relaxed geometry.

Properties
Energy above the most stable polymorph in this dataset = 0.0114 eV per atom
Total moment = 11.00 μB per formula unit
Crystal system = triclinic
ΔH_f (0 K) = -1.139 eV per atom

abc: 7.8077 9.5311 10.1365
angles: 66.14 84.11 82.54
Atoms (fractional coordinates):
O 0.6323 0.1437 0.2337
O 0.9214 0.3396 0.0885
O 0.0042 0.7895 0.8848
O 0.6880 0.9625 0.5276
O 0.2706 0.6732 0.4035
O 0.1437 0.7775 0.5947
O 0.8563 0.2225 0.4053
O 0.4160 0.8613 0.9986
P 0.3958 0.9689 0.8402
O 0.2063 0.6292 0.1611
O 0.9082 0.4865 0.3724
O 0.2345 0.0850 0.8208
O 0.4008 0.3561 0.7552
Mn 0.6607 0.1362 0.4117
O 0.4934 0.7556 0.5499
P 0.6042 0.0311 0.1598
Mn 0.3393 0.8638 0.5883
Fe 0.6376 0.2272 0.7962
Fe 0.3624 0.7728 0.2038
O 0.4406 0.9467 0.2275
Fe 0.8641 0.7062 0.2769
O 0.5840 0.1387 0.0014
O 0.9958 0.2105 0.1152
O 0.7655 0.9150 0.1792
O 0.7294 0.3268 0.5965
P 0.1153 0.6736 0.5102
O 0.0951 0.7515 0.1526
O 0.0786 0.6604 0.9115
O 0.5992 0.6439 0.2448
O 0.7937 0.3708 0.8389
O 0.3677 0.8563 0.7663
O 0.3120 0.0375 0.4724
O 0.9485 0.7465 0.4293
O 0.2841 0.3409 0.8640
P 0.8847 0.3264 0.4898
O 0.0515 0.2535 0.5707
O 0.5066 0.2444 0.4501
O 0.5594 0.0533 0.7725
O 0.9049 0.2485 0.8474
O 0.7159 0.6591 0.1360
Fe 0.1359 0.2938 0.7231
O 0.0918 0.5135 0.6276

=====

No. 7
## Mn2Fe3SbP6O24 (GGA+U)

Data for crystalline Mn2Fe3SbP6O24 at its relaxed geometry.

Properties
Total moment = 25.00 μB per formula unit
Crystal system = trigonal
ΔH_f (0 K) = -2.391 eV per atom

abc: 8.7014 8.7014 8.7014
angles: 59.81 59.81 59.81
Atoms (fractional coordinates):
P 0.9558 0.5394 0.2524
Fe 0.6449 0.6449 0.6449
O 0.6902 0.8836 0.4992
Mn 0.0067 0.0067 0.0067
O 0.4104 0.7615 0.5621
O 0.9138 0.0575 0.2657
O 0.2367 0.4427 0.5854
O 0.0116 0.6161 0.8056
O 0.3866 0.1878 0.9942
O 0.0575 0.2657 0.9138
O 0.5621 0.4104 0.7615
O 0.4992 0.6902 0.8836
O 0.0816 0.9403 0.7391
O 0.7391 0.0816 0.9403
P 0.0450 0.4541 0.7465
O 0.1878 0.9942 0.3866
Fe 0.3539 0.3539 0.3539
O 0.9942 0.3866 0.1878
O 0.6161 0.8056 0.0116
P 0.5394 0.2524 0.9558
O 0.1154 0.5106 0.3015
P 0.2524 0.9558 0.5394
P 0.4541 0.7465 0.0450
O 0.5854 0.2367 0.4427
O 0.3015 0.1154 0.5106
Mn 0.4995 0.4995 0.4995
O 0.8056 0.0116 0.6161
O 0.5106 0.3015 0.1154
O 0.9403 0.7391 0.0816
O 0.7615 0.5621 0.4104
P 0.7465 0.0450 0.4541
O 0.4427 0.5854 0.2367
O 0.8836 0.4992 0.6902
Sb 0.8558 0.8558 0.8558
O 0.2657 0.9138 0.0575
Fe 0.1469 0.1469 0.1469

=====

No. 8
## Mn3FeSn2P6O24 (GGA+U)

Data for crystalline Mn3FeSn2P6O24 at its relaxed geometry.

Properties
Total moment = 19.00 μB per formula unit
Crystal system = trigonal
ΔH_f (0 K) = -2.376 eV per atom

abc: 8.5873 8.5873 8.5873
angles: 61.73 61.73 61.73
Atoms (fractional coordinates):
Fe 0.1506 0.1506 0.1506
O 0.5626 0.7482 0.3973
O 0.6800 0.4765 0.9091
O 0.6017 0.4226 0.2589
O 0.4765 0.9091 0.6800
O 0.7482 0.3973 0.5626
O 0.2589 0.6017 0.4226
O 0.0027 0.1716 0.3976
Mn 0.6533 0.6533 0.6533
P 0.0551 0.7510 0.4446
O 0.1716 0.3976 0.0027
O 0.0170 0.8218 0.5943
O 0.9304 0.0969 0.7523
O 0.3248 0.5159 0.0941
Mn 0.3489 0.3489 0.3489
O 0.9074 0.2420 0.0751
Sn 0.9992 0.9992 0.9992
O 0.0751 0.9074 0.2420
O 0.0969 0.7523 0.9304
O 0.3976 0.0027 0.1716
Sn 0.4999 0.4999 0.4999
O 0.7523 0.9304 0.0969
O 0.5943 0.0170 0.8218
O 0.4226 0.2589 0.6017
O 0.9091 0.6800 0.4765
O 0.0941 0.3248 0.5159
O 0.2420 0.0751 0.9074
O 0.5159 0.0941 0.3248
O 0.8218 0.5943 0.0170
P 0.4446 0.0551 0.7510
Mn 0.8476 0.8476 0.8476
P 0.9505 0.2491 0.5496
P 0.2491 0.5496 0.9505
O 0.3973 0.5626 0.7482
P 0.5496 0.9505 0.2491
P 0.7510 0.4446 0.0551

=====

No. 9
## MnFe3Sn2P6O24 (GGA+U)

Data for crystalline MnFe3Sn2P6O24 at its relaxed geometry.

Properties
Total moment = 9.00 μB per formula unit
Crystal system = trigonal
ΔH_f (0 K) = -2.334 eV per atom

abc: 8.6899 8.6899 8.6899
angles: 60.48 60.48 60.48
Atoms (fractional coordinates):
O 0.4095 0.9788 0.1815
Sn 0.0011 0.0011 0.0011
O 0.3127 0.5056 0.1115
P 0.5522 0.9532 0.2502
O 0.7538 0.9388 0.0905
O 0.2402 0.5908 0.4336
O 0.1115 0.3127 0.5056
P 0.2502 0.5522 0.9532
O 0.0029 0.8187 0.6035
P 0.9532 0.2502 0.5522
O 0.1815 0.4095 0.9788
O 0.0548 0.9043 0.2538
O 0.9388 0.0905 0.7538
O 0.5908 0.4336 0.2402
P 0.4532 0.0426 0.7471
O 0.5802 0.7563 0.4079
O 0.7563 0.4079 0.5802
O 0.2538 0.0548 0.9043
O 0.8187 0.6035 0.0029
O 0.4336 0.2402 0.5908
Fe 0.8487 0.8487 0.8487
O 0.4079 0.5802 0.7563
O 0.6734 0.5018 0.8929
O 0.6035 0.0029 0.8187
Fe 0.3508 0.3508 0.3508
O 0.9788 0.1815 0.4095
O 0.0905 0.7538 0.9388
P 0.0426 0.7471 0.4532
Sn 0.5012 0.5012 0.5012
O 0.9043 0.2538 0.0548
O 0.5018 0.8929 0.6734
Mn 0.1532 0.1532 0.1532
Fe 0.6488 0.6488 0.6488
O 0.5056 0.1115 0.3127
P 0.7471 0.4532 0.0426
O 0.8929 0.6734 0.5018

=====

No. 10
## TiMnFeP3O12 (GGA+U)

Data for crystalline TiMnFeP3O12 at its relaxed geometry.

Properties
Total moment = 10.00 μB per formula unit
Crystal system = trigonal
ΔH_f (0 K) = -2.695 eV per atom

abc: 8.6515 8.6515 8.6515
angles: 59.99 59.99 59.99
Atoms (fractional coordinates):
O 0.9411 0.7354 0.0871
O 0.8121 0.0032 0.6145
O 0.4154 0.7634 0.5567
O 0.4411 0.5871 0.2354
O 0.3781 0.1925 0.0011
O 0.2634 0.9154 0.0567
O 0.6925 0.8781 0.5011
O 0.7634 0.5567 0.4154
Mn 0.9976 0.9976 0.9976
Ti 0.1454 0.1454 0.1454
Fe 0.8541 0.8541 0.8541
O 0.5567 0.4154 0.7634
P 0.5442 0.2505 0.9576
P 0.4576 0.7505 0.0442
O 0.0871 0.9411 0.7354
O 0.2354 0.4411 0.5871
O 0.0011 0.3781 0.1925
P 0.2505 0.9576 0.5442
O 0.5011 0.6925 0.8781
O 0.1925 0.0011 0.3781
O 0.0032 0.6145 0.8121
O 0.5871 0.2354 0.4411
Fe 0.3541 0.3541 0.3541
O 0.0567 0.2634 0.9154
Mn 0.4976 0.4976 0.4976
Ti 0.6454 0.6454 0.6454
P 0.9576 0.5442 0.2505
O 0.3121 0.1145 0.5032
P 0.7505 0.0442 0.4576
O 0.1145 0.5032 0.3121
O 0.7354 0.0871 0.9411
O 0.5032 0.3121 0.1145
O 0.8781 0.5011 0.6925
O 0.9154 0.0567 0.2634
O 0.6145 0.8121 0.0032
P 0.0442 0.4576 0.7505